1.
First-principles (PBE) data for an optimized crystal structure of Ba2AlInO5, as listed in Materials Project.

```
Ba2AlInO5
1.0
2.9665 -5.1381 0.0000
2.9665 5.1381 0.0000
0.0000 0.0000 19.9825
O Al Ba In
20 4 8 4
Cartesian
2.9665 3.4611 17.2982
4.4806 0.8385 12.6755
0.0000 0.0000 4.9956
4.4806 -0.8385 7.3069
2.9665 0.0000 0.0000
2.9665 3.4611 12.6755
1.4523 0.8385 17.2982
1.4832 2.5690 9.9912
1.4832 -2.5690 0.0000
1.4832 2.5690 0.0000
1.4523 -0.8385 2.6843
2.9665 0.0000 9.9912
4.4806 -0.8385 2.6843
4.4806 0.8385 17.2982
0.0000 0.0000 14.9868
1.4523 -0.8385 7.3069
2.9665 -3.4611 2.6843
2.9665 -3.4611 7.3069
1.4523 0.8385 12.6755
1.4832 -2.5690 9.9912
0.0000 0.0000 3.2634
0.0000 0.0000 13.2546
0.0000 0.0000 6.7278
0.0000 0.0000 16.7191
2.9665 -1.7127 12.1076
2.9665 -1.7127 17.8661
2.9665 1.7127 7.8748
2.9665 -1.7127 4.9956
0.0000 0.0000 9.9912
2.9665 1.7127 14.9868
0.0000 0.0000 0.0000
2.9665 1.7127 2.1164
2.9665 -1.7127 8.6574
2.9665 -1.7127 1.3339
2.9665 1.7127 11.3251
2.9665 1.7127 18.6486
```

## Properties
V = 609.1 Å³ per cell
ΔE_f = -2.87 eV per atom
DFT total energy = -230.02 eV for the cell shown

=====

2.
First-principles (PBE) data for an optimized crystal structure of Ba4AlIr2O10, as listed in Materials Project.

```
Ba4AlIr2O10
1.0
2.8963 -6.7386 0.0000
2.8963 6.7386 0.0000
0.0000 0.0000 13.3063
O Al Ir Ba
20 2 4 8
Cartesian
4.3167 -1.7168 9.9270
4.4746 -1.9003 12.7806
1.6258 -1.8991 7.2138
4.4746 1.9003 6.1274
2.8963 0.3175 8.6886
2.8963 6.4674 4.6085
4.1669 -1.8991 7.2138
1.4760 1.7168 3.2738
2.8963 3.8201 2.0041
2.8963 2.9645 11.3328
1.6258 1.8991 0.5606
1.3180 1.9003 6.1274
2.8963 -6.4674 11.2617
2.8963 -2.9645 4.6797
1.3180 -1.9003 12.7806
2.8963 -0.3175 2.0354
4.3167 1.7168 3.2738
4.1669 1.8991 0.5606
2.8963 -3.8201 8.6573
1.4760 -1.7168 9.9270
2.8963 1.4743 2.0369
2.8963 -1.4743 8.6900
2.8963 3.3687 0.0587
2.8963 -3.3687 6.7119
2.8963 5.0597 11.2565
2.8963 -5.0597 4.6033
2.8963 -2.9109 1.8500
2.8963 -0.1728 5.1615
2.8963 6.6137 1.5413
2.8963 -6.6137 8.1945
2.8963 -3.8076 11.3754
2.8963 0.1728 11.8146
2.8963 2.9109 8.5031
2.8963 3.8076 4.7223
```

## Properties
V = 519.4 Å³ per cell
ΔE_f = -2.47 eV per atom
DFT total energy = -227.34 eV for the cell shown

=====

3.
First-principles (PBE) data for an optimized crystal structure of KBa7Al15Si17O64, as listed in Materials Project.

```
KBa7Al15Si17O64
1.0
-0.1252 8.3832 2.5153
9.3627 -1.1317 0.1578
0.9712 2.7828 -18.6778
Si O Ba Al K
17 64 7 15 1
Cartesian
7.5197 6.2860 -16.6823
4.2551 0.1178 -1.8142
8.7584 0.1910 -2.3498
2.6386 2.1178 -13.3794
3.2407 1.8184 -8.3902
9.2665 1.5909 -11.7081
7.0506 4.9155 -7.3454
5.8943 9.9630 -14.2081
7.5503 4.7557 -2.3836
5.8898 4.4063 -10.1425
2.6728 5.3089 -13.5848
2.7079 3.7151 0.6556
2.1779 3.8875 -4.2791
8.0529 6.1630 -11.7329
5.4813 8.5599 -4.8637
3.7170 3.2663 -17.7702
2.1109 0.6988 -4.0064
1.3345 4.3287 0.0075
8.2551 1.8426 -12.9579
2.9311 3.3988 -8.2616
5.1139 8.5315 -14.2693
4.9855 1.5605 -1.7868
3.2725 8.3712 -0.7182
9.1424 1.5368 -1.5549
9.2763 5.8696 -10.7258
7.9137 4.1536 -3.8739
6.6634 1.7406 -15.2157
8.7576 4.4212 -1.3448
4.1292 5.9900 -13.9593
6.6539 5.3465 -11.2834
2.3241 2.5253 -17.4443
7.1329 6.3283 -2.4001
3.0470 3.6935 -13.6126
9.6031 2.9520 -10.8903
6.2767 6.1413 -15.6166
8.2903 4.0686 -6.6642
2.3467 5.8420 -12.0765
0.9727 4.1446 -5.3309
4.4797 1.3960 -7.3875
2.5510 2.2625 -4.2419
3.9311 3.9360 -0.4055
1.8391 1.0740 -8.0022
4.7634 7.0911 -4.8404
9.0353 -0.0914 -6.2306
6.1137 4.0051 -2.0375
6.8610 5.0783 1.6599
1.0813 8.4534 -14.5783
5.7470 4.7622 -6.3745
8.8799 5.6520 -16.0287
5.1345 7.2339 0.5910
6.8243 4.1422 -8.8079
2.4109 9.6558 -12.2413
6.2800 2.6528 0.6299
1.9126 8.1950 -2.8412
1.7168 5.7176 -9.3000
8.5791 8.9315 -8.0373
4.5694 5.2677 -9.7502
3.1376 -0.0251 -0.6189
0.5793 7.0060 -5.2391
6.9850 10.1347 -15.3898
3.6281 4.5873 -4.6417
3.5087 4.8823 -17.7284
3.8564 7.3247 -16.6302
7.7971 0.4872 -3.6303
4.9342 2.8482 -16.7546
8.0063 7.4979 1.2304
3.5484 1.2904 -9.8954
9.3478 9.6538 -13.0464
1.4645 5.6070 -14.6038
1.3060 1.9916 -12.4142
5.7443 8.4978 -8.8079
5.6055 3.0336 -10.9522
1.8123 4.4567 -2.7908
8.3634 5.5539 -13.2243
7.5372 7.7005 -11.7509
6.5761 8.7453 -6.0549
7.5192 6.4458 -7.5864
0.7978 0.5583 -3.0426
6.2698 0.4028 -5.8887
3.3409 6.1154 -7.2070
3.8027 9.8242 -10.1258
4.1702 6.1451 -2.1918
6.1473 3.9433 -13.7789
5.7117 2.6019 -4.4758
0.3649 6.3754 1.5397
9.2987 1.9924 -8.0539
4.6704 7.6269 -11.4512
1.1816 7.8371 -7.8120
1.3927 9.9052 -13.6695
3.2040 5.0994 -8.6203
4.8035 1.4680 -11.1039
1.0444 5.6428 -10.9008
8.0223 9.3811 -12.0058
0.9084 8.4226 -4.2917
9.6485 5.7812 -14.4402
7.5785 8.0070 -2.6569
4.3277 5.7137 -5.8602
7.0102 8.1316 -7.6828
9.1573 4.3386 -5.1151
4.8272 7.0607 -15.1922
0.5475 4.2180 -1.5744
5.3698 2.9786 -0.8023
6.4500 6.7781 1.6867
9.5532 3.3701 -17.3245
```

## Properties
V = 1533.0 Å³ per cell
ΔE_f = -3.41 eV per atom
DFT total energy = -789.84 eV for the cell shown